# 1
{"formula": "CrNiPO5", "functional": "r²SCAN", "state": "optimized geometry", "formation_enthalpy_0k_ev_per_atom": -2.164, "final_energy_ev_per_atom": -10.4041, "sg": "No. 15", "cell": [[3.7407, -3.7497, 0.0000], [3.7407, 3.7497, 0.0000], [-3.7073, 0.0000, 6.0517]], "species": ["Cr", "Cr", "Ni", "Ni", "P", "P", "O", "O", "O", "O", "O", "O", "O", "O", "O", "O"], "frac_coords": [[0.0000, 0.5000, 0.0000], [0.5000, 0.0000, 0.5000], [0.0000, 0.0000, 0.0000], [0.0000, 0.0000, 0.5000], [0.3772, 0.6228, 0.7500], [0.6228, 0.3772, 0.2500], [0.1360, 0.8640, 0.2500], [0.1879, 0.6787, 0.8747], [0.3097, 0.3154, 0.6006], [0.3154, 0.3097, 0.1006], [0.3213, 0.8121, 0.6253], [0.6787, 0.1879, 0.3747], [0.6846, 0.6903, 0.8994], [0.6903, 0.6846, 0.3994], [0.8121, 0.3213, 0.1253], [0.8640, 0.1360, 0.7500]]}

# 2
{"formula": "Cr2O3", "functional": "r²SCAN", "state": "optimized geometry", "formation_enthalpy_0k_ev_per_atom": -2.367, "final_energy_ev_per_atom": -11.9800, "sg": "No. 60", "cell": [[7.1947, 0.0000, 0.0000], [0.0000, 5.0394, 0.0000], [0.0000, 0.0000, 5.2109]], "species": ["Cr", "Cr", "Cr", "Cr", "Cr", "Cr", "Cr", "Cr", "O", "O", "O", "O", "O", "O", "O", "O", "O", "O", "O", "O"], "frac_coords": [[0.1067, 0.2501, 0.0328], [0.1067, 0.7499, 0.5328], [0.3933, 0.2499, 0.5328], [0.3933, 0.7501, 0.0328], [0.6067, 0.2499, 0.9672], [0.6067, 0.7501, 0.4672], [0.8933, 0.2501, 0.4672], [0.8933, 0.7499, 0.9672], [0.0000, 0.0503, 0.7500], [0.0000, 0.9497, 0.2500], [0.1514, 0.3924, 0.3938], [0.1514, 0.6076, 0.8938], [0.3486, 0.1076, 0.8938], [0.3486, 0.8924, 0.3938], [0.5000, 0.4497, 0.2500], [0.5000, 0.5503, 0.7500], [0.6514, 0.1076, 0.6062], [0.6514, 0.8924, 0.1062], [0.8486, 0.3924, 0.1062], [0.8486, 0.6076, 0.6062]]}

# 3
{"formula": "Cr2O3", "functional": "r²SCAN", "state": "optimized geometry", "formation_enthalpy_0k_ev_per_atom": -2.329, "final_energy_ev_per_atom": -11.9418, "sg": "No. 148", "cell": [[2.5287, 1.4600, 4.6934], [-2.5287, 1.4600, 4.6934], [0.0000, -2.9199, 4.6934]], "species": ["Cr", "Cr", "Cr", "Cr", "O", "O", "O", "O", "O", "O"], "frac_coords": [[0.0000, 0.0000, 0.0000], [0.1875, 0.1875, 0.1875], [0.5000, 0.5000, 0.5000], [0.8125, 0.8125, 0.8125], [0.1096, 0.7850, 0.3863], [0.2150, 0.6137, 0.8904], [0.3863, 0.1096, 0.7850], [0.6137, 0.8904, 0.2150], [0.7850, 0.3863, 0.1096], [0.8904, 0.2150, 0.6137]]}

# 4
{"formula": "Cr2O3", "functional": "r²SCAN", "state": "optimized geometry", "formation_enthalpy_0k_ev_per_atom": -2.359, "final_energy_ev_per_atom": -11.9717, "sg": "No. 206", "cell": [[-4.6411, 4.6411, 4.6411], [4.6411, -4.6411, 4.6411], [4.6411, 4.6411, -4.6411]], "species": ["Cr", "Cr", "Cr", "Cr", "Cr", "Cr", "Cr", "Cr", "Cr", "Cr", "Cr", "Cr", "Cr", "Cr", "Cr", "Cr", "O", "O", "O", "O", "O", "O", "O", "O", "O", "O", "O", "O", "O", "O", "O", "O", "O", "O", "O", "O", "O", "O", "O", "O"], "frac_coords": [[0.0000, 0.0000, 0.0000], [0.0000, 0.5000, 0.5000], [0.0389, 0.7889, 0.2500], [0.2111, 0.7500, 0.9611], [0.2500, 0.0389, 0.7889], [0.2500, 0.5389, 0.2889], [0.2889, 0.2500, 0.5389], [0.4611, 0.7111, 0.7500], [0.5000, 0.0000, 0.5000], [0.5000, 0.5000, 0.0000], [0.5389, 0.2889, 0.2500], [0.7111, 0.7500, 0.4611], [0.7500, 0.4611, 0.7111], [0.7500, 0.9611, 0.2111], [0.7889, 0.2500, 0.0389], [0.9611, 0.2111, 0.7500], [0.0060, 0.4578, 0.7329], [0.0422, 0.0482, 0.2751], [0.0482, 0.2751, 0.0422], [0.2249, 0.2730, 0.7671], [0.2270, 0.4518, 0.4940], [0.2329, 0.7751, 0.7270], [0.2671, 0.9940, 0.5422], [0.2730, 0.7671, 0.2249], [0.2751, 0.0422, 0.0482], [0.4518, 0.4940, 0.2270], [0.4578, 0.7329, 0.0060], [0.4940, 0.2270, 0.4518], [0.5060, 0.7730, 0.5482], [0.5422, 0.2671, 0.9940], [0.5482, 0.5060, 0.7730], [0.7249, 0.9578, 0.9518], [0.7270, 0.2329, 0.7751], [0.7329, 0.0060, 0.4578], [0.7671, 0.2249, 0.2730], [0.7730, 0.5482, 0.5060], [0.7751, 0.7270, 0.2329], [0.9518, 0.7249, 0.9578], [0.9578, 0.9518, 0.7249], [0.9940, 0.5422, 0.2671]]}

# 5
{"formula": "Cr2O3", "functional": "r²SCAN", "state": "optimized geometry", "formation_enthalpy_0k_ev_per_atom": -2.405, "final_energy_ev_per_atom": -12.0183, "sg": "No. 167", "cell": [[2.5019, 1.4445, 4.5046], [-2.5019, 1.4445, 4.5046], [0.0000, -2.8889, 4.5046]], "species": ["Cr", "Cr", "Cr", "Cr", "O", "O", "O", "O", "O", "O"], "frac_coords": [[0.1501, 0.1501, 0.1501], [0.3499, 0.3499, 0.3499], [0.6501, 0.6501, 0.6501], [0.8499, 0.8499, 0.8499], [0.0517, 0.7500, 0.4483], [0.2500, 0.5517, 0.9483], [0.4483, 0.0517, 0.7500], [0.5517, 0.9483, 0.2500], [0.7500, 0.4483, 0.0517], [0.9483, 0.2500, 0.5517]]}

# 6
{"formula": "CrPO4", "functional": "r²SCAN", "state": "optimized geometry", "formation_enthalpy_0k_ev_per_atom": -2.440, "final_energy_ev_per_atom": -10.4338, "sg": "No. 74", "cell": [[-5.2067, 6.4694, 3.1535], [5.2067, -6.4694, 3.1535], [5.2067, 6.4694, -3.1535]], "species": ["Cr", "Cr", "Cr", "Cr", "Cr", "Cr", "P", "P", "P", "P", "P", "P", "O", "O", "O", "O", "O", "O", "O", "O", "O", "O", "O", "O", "O", "O", "O", "O", "O", "O", "O", "O", "O", "O", "O", "O"], "frac_coords": [[0.0000, 0.0000, 0.0000], [0.3838, 0.0000, 0.8838], [0.3838, 0.5000, 0.3838], [0.5000, 0.0000, 0.5000], [0.6162, 0.0000, 0.1162], [0.6162, 0.5000, 0.6162], [0.1765, 0.0000, 0.6765], [0.1765, 0.5000, 0.1765], [0.3323, 0.0823, 0.2500], [0.6677, 0.9177, 0.7500], [0.8235, 0.0000, 0.3235], [0.8235, 0.5000, 0.8235], [0.0804, 0.2203, 0.4120], [0.0804, 0.6684, 0.8601], [0.1074, 0.9568, 0.1507], [0.2244, 0.0766, 0.8705], [0.2244, 0.3539, 0.1478], [0.2939, 0.6461, 0.3705], [0.2939, 0.9234, 0.6478], [0.3061, 0.9568, 0.3493], [0.3083, 0.2203, 0.6399], [0.3083, 0.6684, 0.0880], [0.4766, 0.1038, 0.1273], [0.4766, 0.3493, 0.3727], [0.5234, 0.6507, 0.6273], [0.5234, 0.8962, 0.8727], [0.6917, 0.3316, 0.9120], [0.6917, 0.7797, 0.3601], [0.6939, 0.0432, 0.6507], [0.7061, 0.0766, 0.3522], [0.7061, 0.3539, 0.6295], [0.7756, 0.6461, 0.8522], [0.7756, 0.9234, 0.1295], [0.8926, 0.0432, 0.8493], [0.9196, 0.3316, 0.1399], [0.9196, 0.7797, 0.5880]]}

# 7
{"formula": "CrPO4", "functional": "r²SCAN", "state": "optimized geometry", "formation_enthalpy_0k_ev_per_atom": -2.435, "final_energy_ev_per_atom": -10.4288, "cell": [[4.6700, -0.0090, 0.0000], [1.0601, 8.6032, 0.0000], [0.0000, 0.0000, 6.1428]], "species": ["Cr", "Cr", "Cr", "Cr", "P", "P", "P", "P", "O", "O", "O", "O", "O", "O", "O", "O", "O", "O", "O", "O", "O", "O", "O", "O"], "frac_coords": [[0.0000, 0.0000, 0.5000], [0.5000, 0.5000, 0.5000], [0.5000, 0.5000, 0.0000], [0.0000, 0.0000, 0.0000], [0.4759, 0.1747, 0.2500], [0.0241, 0.3253, 0.7500], [0.5241, 0.8253, 0.7500], [0.9759, 0.6747, 0.2500], [0.6314, 0.1229, 0.0437], [0.6731, 0.6118, 0.2500], [0.6314, 0.1229, 0.4563], [0.3686, 0.8771, 0.9563], [0.4188, 0.3576, 0.2500], [0.5812, 0.6424, 0.7500], [0.8686, 0.3771, 0.5437], [0.1314, 0.6229, 0.4563], [0.3686, 0.8771, 0.5437], [0.1731, 0.1118, 0.2500], [0.9188, 0.8576, 0.2500], [0.8686, 0.3771, 0.9563], [0.0812, 0.1424, 0.7500], [0.1314, 0.6229, 0.0437], [0.3269, 0.3882, 0.7500], [0.8269, 0.8882, 0.7500]]}

# 8
{"formula": "CrP3O9", "functional": "r²SCAN", "state": "optimized geometry", "formation_enthalpy_0k_ev_per_atom": -2.378, "final_energy_ev_per_atom": -9.7495, "sg": "No. 14", "cell": [[6.2321, 0.0000, 0.0000], [0.0000, 15.2481, 0.0000], [-2.2889, 0.0000, 8.0009]], "species": ["Cr", "Cr", "Cr", "Cr", "P", "P", "P", "P", "P", "P", "P", "P", "P", "P", "P", "P", "O", "O", "O", "O", "O", "O", "O", "O", "O", "O", "O", "O", "O", "O", "O", "O", "O", "O", "O", "O", "O", "O", "O", "O", "O", "O", "O", "O", "O", "O", "O", "O", "O", "O", "O", "O"], "frac_coords": [[0.1186, 0.1370, 0.3759], [0.1186, 0.3630, 0.8759], [0.8814, 0.6370, 0.1241], [0.8814, 0.8630, 0.6241], [0.1497, 0.0445, 0.7209], [0.1497, 0.4555, 0.2209], [0.2067, 0.1611, 0.0159], [0.2067, 0.3389, 0.5159], [0.4122, 0.6128, 0.2080], [0.4122, 0.8872, 0.7080], [0.5878, 0.1128, 0.2920], [0.5878, 0.3872, 0.7920], [0.7933, 0.6611, 0.4841], [0.7933, 0.8389, 0.9841], [0.8503, 0.5445, 0.7791], [0.8503, 0.9555, 0.2791], [0.0537, 0.0108, 0.3399], [0.0537, 0.4892, 0.8399], [0.0663, 0.1534, 0.1334], [0.0663, 0.3466, 0.6334], [0.1625, 0.0748, 0.9047], [0.1625, 0.4252, 0.4047], [0.1739, 0.1221, 0.6192], [0.1739, 0.3779, 0.1192], [0.1838, 0.2378, 0.9045], [0.1838, 0.2622, 0.4045], [0.1973, 0.6597, 0.1442], [0.1973, 0.8403, 0.6442], [0.3687, 0.5142, 0.2540], [0.3687, 0.9858, 0.7540], [0.4344, 0.1121, 0.4002], [0.4344, 0.3879, 0.9002], [0.4645, 0.1520, 0.1134], [0.4645, 0.3480, 0.6134], [0.5355, 0.6520, 0.3866], [0.5355, 0.8480, 0.8866], [0.5656, 0.6121, 0.0998], [0.5656, 0.8879, 0.5998], [0.6313, 0.0142, 0.2460], [0.6313, 0.4858, 0.7460], [0.8027, 0.1597, 0.3558], [0.8027, 0.3403, 0.8558], [0.8162, 0.7378, 0.5955], [0.8162, 0.7622, 0.0955], [0.8261, 0.6221, 0.8808], [0.8261, 0.8779, 0.3808], [0.8375, 0.5748, 0.5953], [0.8375, 0.9252, 0.0953], [0.9337, 0.6534, 0.3666], [0.9337, 0.8466, 0.8666], [0.9463, 0.5108, 0.1601], [0.9463, 0.9892, 0.6601]]}